Model P:
! Li4VF8 (PBE with a Hubbard U, relaxed); values from VASP
! Symmetry: Pnma, No. 62
&SYSTEM
  ibrav = 0, nat = 52, ntyp = 3
/
ATOMIC_SPECIES
Li 6.94 Li.upf
V 50.94 V.upf
F 19.00 F.upf
CELL_PARAMETERS angstrom
9.476 0.000 0.000
0.000 9.452 0.000
0.000 0.000 5.667
ATOMIC_POSITIONS crystal
Li 0.109 0.078 0.122
Li 0.109 0.422 0.122
Li 0.131 0.064 0.613
Li 0.131 0.436 0.613
Li 0.369 0.564 0.113
Li 0.369 0.936 0.113
Li 0.391 0.578 0.622
Li 0.391 0.922 0.622
Li 0.609 0.078 0.378
Li 0.609 0.422 0.378
Li 0.631 0.064 0.887
Li 0.631 0.436 0.887
Li 0.869 0.564 0.387
Li 0.869 0.936 0.387
Li 0.891 0.578 0.878
Li 0.891 0.922 0.878
V 0.134 0.750 0.372
V 0.366 0.250 0.872
V 0.634 0.750 0.128
V 0.866 0.250 0.628
F 0.023 0.620 0.159
F 0.023 0.880 0.159
F 0.028 0.625 0.593
F 0.028 0.875 0.593
F 0.225 0.250 0.115
F 0.235 0.250 0.618
F 0.237 0.537 0.371
F 0.237 0.963 0.371
F 0.263 0.037 0.871
F 0.263 0.463 0.871
F 0.265 0.750 0.118
F 0.275 0.750 0.615
F 0.472 0.125 0.093
F 0.472 0.375 0.093
F 0.477 0.120 0.659
F 0.477 0.380 0.659
F 0.523 0.620 0.341
F 0.523 0.880 0.341
F 0.528 0.625 0.907
F 0.528 0.875 0.907
F 0.725 0.250 0.385
F 0.735 0.250 0.882
F 0.737 0.537 0.129
F 0.737 0.963 0.129
F 0.763 0.037 0.629
F 0.763 0.463 0.629
F 0.765 0.750 0.382
F 0.775 0.750 0.885
F 0.972 0.125 0.407
F 0.972 0.375 0.407
F 0.977 0.120 0.841
F 0.977 0.380 0.841

***

Model Q:
! Li4VF8 (PBE with a Hubbard U, relaxed); values from VASP
! Largest piezoelectric modulus (C/m²): 2.2
! Symmetry: P2, No. 3
&SYSTEM
  ibrav = 0, nat = 13, ntyp = 3
/
ATOMIC_SPECIES
Li 6.94 Li.upf
V 50.94 V.upf
F 19.00 F.upf
CELL_PARAMETERS angstrom
5.176 0.000 0.000
0.000 6.082 0.000
-1.986 0.000 4.885
ATOMIC_POSITIONS crystal
Li 0.000 0.000 0.000
Li 0.000 0.202 0.500
Li 0.000 0.756 0.500
Li 0.500 0.807 0.000
V 0.000 0.488 0.000
F 0.199 0.974 0.762
F 0.205 0.502 0.767
F 0.214 0.271 0.233
F 0.238 0.711 0.216
F 0.762 0.711 0.784
F 0.786 0.271 0.767
F 0.795 0.502 0.233
F 0.801 0.974 0.238

***

The structure with the greatest stability is model Q.

***

Model P:
! LiVF5 (PBE with a Hubbard U, relaxed); values from VASP
! Symmetry: P2_1/c, No. 14
&SYSTEM
  ibrav = 0, nat = 28, ntyp = 3
/
ATOMIC_SPECIES
Li 6.94 Li.upf
V 50.94 V.upf
F 19.00 F.upf
CELL_PARAMETERS angstrom
6.323 0.000 0.000
0.000 8.745 0.000
-5.788 0.000 6.729
ATOMIC_POSITIONS crystal
Li 0.028 0.104 0.282
Li 0.028 0.396 0.782
Li 0.972 0.604 0.218
Li 0.972 0.896 0.718
V 0.387 0.123 0.069
V 0.387 0.377 0.569
V 0.613 0.623 0.431
V 0.613 0.877 0.931
F 0.072 0.119 0.800
F 0.072 0.381 0.300
F 0.212 0.109 0.170
F 0.212 0.391 0.670
F 0.268 0.611 0.187
F 0.268 0.889 0.687
F 0.359 0.168 0.544
F 0.359 0.332 0.044
F 0.385 0.604 0.521
F 0.385 0.896 0.021
F 0.615 0.104 0.979
F 0.615 0.396 0.479
F 0.641 0.668 0.956
F 0.641 0.832 0.456
F 0.732 0.111 0.313
F 0.732 0.389 0.813
F 0.788 0.609 0.330
F 0.788 0.891 0.830
F 0.928 0.619 0.700
F 0.928 0.881 0.200

***

Model Q:
! LiVF5 (PBE with a Hubbard U, relaxed); values from VASP
! Symmetry: P2_1/c, No. 14
&SYSTEM
  ibrav = 0, nat = 28, ntyp = 3
/
ATOMIC_SPECIES
Li 6.94 Li.upf
V 50.94 V.upf
F 19.00 F.upf
CELL_PARAMETERS angstrom
5.266 0.000 0.000
0.000 8.942 0.000
-4.975 0.000 8.088
ATOMIC_POSITIONS crystal
Li 0.170 0.093 0.289
Li 0.170 0.407 0.789
Li 0.830 0.593 0.211
Li 0.830 0.907 0.711
V 0.492 0.629 0.624
V 0.492 0.871 0.124
V 0.508 0.129 0.876
V 0.508 0.371 0.376
F 0.160 0.200 0.699
F 0.160 0.300 0.199
F 0.188 0.714 0.622
F 0.188 0.786 0.122
F 0.233 0.519 0.407
F 0.233 0.981 0.907
F 0.453 0.218 0.492
F 0.453 0.282 0.992
F 0.475 0.024 0.254
F 0.475 0.476 0.754
F 0.525 0.524 0.246
F 0.525 0.976 0.746
F 0.547 0.718 0.008
F 0.547 0.782 0.508
F 0.767 0.019 0.093
F 0.767 0.481 0.593
F 0.812 0.214 0.878
F 0.812 0.286 0.378
F 0.840 0.700 0.801
F 0.840 0.800 0.301

***

The structure with the greatest stability is model P.

***

Model P:
! LiVF5 (PBE with a Hubbard U, relaxed); values from VASP
! Symmetry: P2_1/c, No. 14
&SYSTEM
  ibrav = 0, nat = 28, ntyp = 3
/
ATOMIC_SPECIES
Li 6.94 Li.upf
V 50.94 V.upf
F 19.00 F.upf
CELL_PARAMETERS angstrom
5.201 0.000 0.000
0.000 9.802 0.000
-2.602 0.000 7.183
ATOMIC_POSITIONS crystal
Li 0.021 0.018 0.274
Li 0.021 0.482 0.774
Li 0.979 0.518 0.226
Li 0.979 0.982 0.726
V 0.427 0.246 0.108
V 0.427 0.254 0.608
V 0.573 0.746 0.392
V 0.573 0.754 0.892
F 0.146 0.126 0.082
F 0.146 0.374 0.582
F 0.175 0.113 0.512
F 0.175 0.387 0.012
F 0.289 0.635 0.842
F 0.289 0.865 0.342
F 0.332 0.600 0.304
F 0.332 0.900 0.804
F 0.419 0.211 0.858
F 0.419 0.289 0.358
F 0.581 0.711 0.642
F 0.581 0.789 0.142
F 0.668 0.100 0.196
F 0.668 0.400 0.696
F 0.711 0.135 0.658
F 0.711 0.365 0.158
F 0.825 0.613 0.988
F 0.825 0.887 0.488
F 0.854 0.626 0.418
F 0.854 0.874 0.918

***

Model Q:
! LiVF5 (PBE with a Hubbard U, relaxed); values from VASP
! Symmetry: P2_1/c, No. 14
&SYSTEM
  ibrav = 0, nat = 56, ntyp = 3
/
ATOMIC_SPECIES
Li 6.94 Li.upf
V 50.94 V.upf
F 19.00 F.upf
CELL_PARAMETERS angstrom
6.491 0.000 0.000
0.000 7.463 0.000
-1.225 0.000 14.766
ATOMIC_POSITIONS crystal
Li 0.002 0.231 0.401
Li 0.002 0.269 0.901
Li 0.329 0.554 0.433
Li 0.329 0.946 0.933
Li 0.671 0.054 0.067
Li 0.671 0.446 0.567
Li 0.998 0.731 0.099
Li 0.998 0.769 0.599
V 0.179 0.192 0.128
V 0.179 0.308 0.628
V 0.494 0.127 0.345
V 0.494 0.373 0.845
V 0.506 0.627 0.155
V 0.506 0.873 0.655
V 0.821 0.692 0.372
V 0.821 0.808 0.872
F 0.017 0.503 0.397
F 0.017 0.997 0.897
F 0.034 0.199 0.708
F 0.034 0.301 0.208
F 0.060 0.192 0.528
F 0.060 0.308 0.028
F 0.279 0.037 0.401
F 0.279 0.463 0.901
F 0.314 0.697 0.062
F 0.314 0.803 0.562
F 0.315 0.668 0.234
F 0.315 0.832 0.734
F 0.316 0.058 0.229
F 0.316 0.442 0.729
F 0.362 0.080 0.050
F 0.362 0.420 0.550
F 0.365 0.152 0.848
F 0.365 0.348 0.348
F 0.396 0.127 0.645
F 0.396 0.373 0.145
F 0.604 0.627 0.855
F 0.604 0.873 0.355
F 0.635 0.652 0.652
F 0.635 0.848 0.152
F 0.638 0.580 0.450
F 0.638 0.920 0.950
F 0.684 0.558 0.271
F 0.684 0.942 0.771
F 0.685 0.168 0.266
F 0.685 0.332 0.766
F 0.686 0.197 0.438
F 0.686 0.303 0.938
F 0.721 0.537 0.099
F 0.721 0.963 0.599
F 0.940 0.692 0.972
F 0.940 0.808 0.472
F 0.966 0.699 0.792
F 0.966 0.801 0.292
F 0.983 0.003 0.103
F 0.983 0.497 0.603

***

The structure with the greatest stability is model P.

***

Model P:
! LiVF5 (PBE with a Hubbard U, relaxed); values from VASP
! Symmetry: P2_1/c, No. 14
&SYSTEM
  ibrav = 0, nat = 28, ntyp = 3
/
ATOMIC_SPECIES
Li 6.94 Li.upf
V 50.94 V.upf
F 19.00 F.upf
CELL_PARAMETERS angstrom
7.314 0.000 0.000
0.000 6.769 0.000
-0.116 0.000 7.631
ATOMIC_POSITIONS crystal
Li 0.249 0.241 0.037
Li 0.249 0.259 0.537
Li 0.751 0.741 0.463
Li 0.751 0.759 0.963
V 0.245 0.736 0.391
V 0.245 0.764 0.891
V 0.755 0.236 0.109
V 0.755 0.264 0.609
F 0.003 0.206 0.124
F 0.003 0.294 0.624
F 0.227 0.002 0.443
F 0.227 0.498 0.943
F 0.248 0.683 0.643
F 0.248 0.817 0.143
F 0.260 0.037 0.852
F 0.260 0.463 0.352
F 0.495 0.749 0.895
F 0.495 0.751 0.395
F 0.505 0.249 0.605
F 0.505 0.251 0.105
F 0.740 0.537 0.648
F 0.740 0.963 0.148
F 0.752 0.183 0.857
F 0.752 0.317 0.357
F 0.773 0.502 0.057
F 0.773 0.998 0.557
F 0.997 0.706 0.376
F 0.997 0.794 0.876

***

Model Q:
! LiVF5 (PBE with a Hubbard U, relaxed); values from VASP
! Symmetry: Pnma, No. 62
&SYSTEM
  ibrav = 0, nat = 28, ntyp = 3
/
ATOMIC_SPECIES
Li 6.94 Li.upf
V 50.94 V.upf
F 19.00 F.upf
CELL_PARAMETERS angstrom
7.656 0.000 0.000
0.000 7.354 0.000
0.000 0.000 6.844
ATOMIC_POSITIONS crystal
Li 0.122 0.250 0.177
Li 0.378 0.750 0.677
Li 0.622 0.250 0.323
Li 0.878 0.750 0.823
V 0.124 0.750 0.255
V 0.376 0.250 0.755
V 0.624 0.750 0.245
V 0.876 0.250 0.745
F 0.090 0.750 0.986
F 0.124 0.001 0.258
F 0.124 0.499 0.258
F 0.126 0.250 0.711
F 0.160 0.750 0.523
F 0.340 0.250 0.023
F 0.374 0.750 0.211
F 0.376 0.501 0.758
F 0.376 0.999 0.758
F 0.410 0.250 0.486
F 0.590 0.750 0.514
F 0.624 0.001 0.242
F 0.624 0.499 0.242
F 0.626 0.250 0.789
F 0.660 0.750 0.977
F 0.840 0.250 0.477
F 0.874 0.750 0.289
F 0.876 0.501 0.742
F 0.876 0.999 0.742
F 0.910 0.250 0.014

***

The structure with the greatest stability is model P.